1.
## ThV2PbO8 (PBE+U)

Data for ThV2PbO8 after structural relaxation.

Results
energy above the lowest structure with this stoichiometry: 28 meV per atom
electronic total energy: -7.7580 eV per atom
calculated formation energy: -266.2 kJ/mol of atoms
SG: I-4, No. 82

POSCAR file:
```
ThV2PbO8
1.0
-2.6323 2.6323 5.9786
2.6323 -2.6323 5.9786
2.6323 2.6323 -5.9786
Th V Pb O
1 2 1 8
Direct
0.0000 0.0000 0.0000
0.5000 0.5000 0.0000
0.7500 0.2500 0.5000
0.2500 0.7500 0.5000
0.2849 0.1759 0.6045
0.3196 0.7151 0.8910
0.4187 0.2837 0.3701
0.5714 0.6804 0.3955
0.7163 0.0864 0.1350
0.8241 0.4286 0.1090
0.9136 0.0486 0.6299
0.9514 0.5813 0.8650
```

=====

2.
## UV2PbO9 (PBE+U)

Data for UV2PbO9 after structural relaxation.

Results
electronic total energy: -7.8858 eV per atom
calculated formation energy: -255.3 kJ/mol of atoms
SG: P2_1/c, No. 14

POSCAR file:
```
UV2PbO9
1.0
7.0220 0.0000 0.0000
0.0000 9.9061 0.0000
-6.4666 0.0000 12.0323
U V Pb O
4 8 4 36
Direct
0.2248 0.0001 0.2710
0.2248 0.4999 0.7710
0.7752 0.9999 0.7290
0.7752 0.5001 0.2290
0.1827 0.2274 0.9618
0.1827 0.2726 0.4618
0.2653 0.0418 0.6699
0.2653 0.4582 0.1699
0.7347 0.5418 0.8301
0.7347 0.9582 0.3301
0.8173 0.7274 0.5382
0.8173 0.7726 0.0382
0.3474 0.6930 0.5359
0.3474 0.8070 0.0359
0.6526 0.1930 0.9641
0.6526 0.3070 0.4641
0.0660 0.6567 0.6288
0.0660 0.8433 0.1288
0.0868 0.5020 0.2192
0.0868 0.9980 0.7192
0.1146 0.1204 0.1568
0.1146 0.3796 0.6568
0.1396 0.1494 0.5489
0.1396 0.3506 0.0489
0.2897 0.1880 0.3866
0.2897 0.3120 0.8866
0.3218 0.6233 0.8846
0.3218 0.8767 0.3846
0.3675 0.1054 0.0264
0.3675 0.3946 0.5264
0.3821 0.5914 0.1382
0.3821 0.9086 0.6382
0.4996 0.1126 0.7722
0.4996 0.3874 0.2722
0.5004 0.6126 0.7278
0.5004 0.8874 0.2278
0.6179 0.0914 0.3618
0.6179 0.4086 0.8618
0.6325 0.6054 0.4736
0.6325 0.8946 0.9736
0.6782 0.1233 0.6154
0.6782 0.3767 0.1154
0.7103 0.6880 0.1134
0.7103 0.8120 0.6134
0.8604 0.6494 0.9511
0.8604 0.8506 0.4511
0.8854 0.6204 0.3432
0.8854 0.8796 0.8432
0.9132 0.0020 0.2808
0.9132 0.4980 0.7808
0.9340 0.1567 0.8712
0.9340 0.3433 0.3712
```

=====

3.
## V2PbO6 (PBE+U)

Data for V2PbO6 after structural relaxation.

Results
energy above the lowest structure with this stoichiometry: 103 meV per atom
electronic total energy: -7.0030 eV per atom
calculated formation energy: -203.5 kJ/mol of atoms
SG: C222, No. 21

POSCAR file:
```
V2PbO6
1.0
4.2457 -7.0825 0.0000
4.2457 7.0825 0.0000
0.0000 0.0000 9.0819
V Pb O
6 3 18
Direct
0.0000 0.5000 0.2765
0.1648 0.2371 0.2499
0.2371 0.1648 0.7501
0.5000 0.0000 0.7235
0.7629 0.8352 0.7501
0.8352 0.7629 0.2499
0.3638 0.6362 0.0000
0.5000 0.5000 0.5000
0.6362 0.3638 0.0000
0.0000 0.0000 0.2810
0.0000 0.0000 0.7190
0.1196 0.3902 0.3737
0.1573 0.3106 0.0804
0.1648 0.6659 0.1729
0.2834 0.3854 0.7156
0.3106 0.1573 0.9196
0.3341 0.8352 0.8271
0.3854 0.2834 0.2844
0.3902 0.1196 0.6263
0.6098 0.8804 0.6263
0.6146 0.7166 0.2844
0.6659 0.1648 0.8271
0.6894 0.8427 0.9196
0.7166 0.6146 0.7156
0.8352 0.3341 0.1729
0.8427 0.6894 0.0804
0.8804 0.6098 0.3737
```

=====

4.
## V6PbO11 (PBE+U)

Data for V6PbO11 after structural relaxation.

Results
energy above the lowest structure with this stoichiometry: 25 meV per atom
electronic total energy: -7.6340 eV per atom
calculated formation energy: -227.9 kJ/mol of atoms
SG: P6_3/mmc, No. 194

POSCAR file:
```
V6PbO11
1.0
5.8396 0.0000 0.0000
-2.9198 5.0572 0.0000
0.0000 0.0000 13.1970
V Pb O
12 2 22
Direct
0.0000 0.0000 0.1474
0.0000 0.0000 0.3526
0.0000 0.0000 0.6474
0.0000 0.0000 0.8526
0.0000 0.5000 0.0000
0.0000 0.5000 0.5000
0.3333 0.6667 0.2500
0.5000 0.0000 0.0000
0.5000 0.0000 0.5000
0.5000 0.5000 0.0000
0.5000 0.5000 0.5000
0.6667 0.3333 0.7500
0.3333 0.6667 0.7500
0.6667 0.3333 0.2500
0.1511 0.3021 0.2500
0.1511 0.8489 0.2500
0.1708 0.3415 0.5807
0.1708 0.3415 0.9193
0.1708 0.8292 0.5807
0.1708 0.8292 0.9193
0.3021 0.1511 0.7500
0.3333 0.6667 0.0877
0.3333 0.6667 0.4123
0.3415 0.1708 0.0807
0.3415 0.1708 0.4193
0.6585 0.8292 0.5807
0.6585 0.8292 0.9193
0.6667 0.3333 0.5877
0.6667 0.3333 0.9123
0.6979 0.8489 0.2500
0.8292 0.1708 0.0807
0.8292 0.1708 0.4193
0.8292 0.6585 0.0807
0.8292 0.6585 0.4193
0.8489 0.1511 0.7500
0.8489 0.6979 0.7500
```